Arrangement w

Below is a relaxed HoI3O9 crystal, with properties calculated at the r2SCAN level.

Geometry as POSCAR:
```
HoI3O9
1.0
6.3166 0.0000 0.0000
0.0000 8.5366 0.0000
0.0000 0.0000 7.0705
Ho I O
2 6 18
Direct
0.2500 0.2500 0.1817
0.7500 0.7500 0.8183
0.2500 0.5591 0.6093
0.2500 0.7500 0.0103
0.2500 0.9409 0.6093
0.7500 0.0591 0.3907
0.7500 0.2500 0.9897
0.7500 0.4409 0.3907
0.0582 0.6085 0.8908
0.0582 0.8915 0.8908
0.0597 0.7500 0.5555
0.2500 0.0042 0.3580
0.2500 0.2500 0.8636
0.2500 0.4958 0.3580
0.4403 0.7500 0.5555
0.4418 0.6085 0.8908
0.4418 0.8915 0.8908
0.5582 0.1085 0.1092
0.5582 0.3915 0.1092
0.5597 0.2500 0.4445
0.7500 0.5042 0.6420
0.7500 0.7500 0.1364
0.7500 0.9958 0.6420
0.9403 0.2500 0.4445
0.9418 0.1085 0.1092
0.9418 0.3915 0.1092
```

As for the symmetry: Pmmn, No. 59.

***

Arrangement x

Below is a relaxed HoI3O9 crystal, with properties calculated at the r2SCAN level.

Geometry as POSCAR:
```
HoI3O9
1.0
8.6656 0.0000 0.0000
0.0000 5.9942 0.0000
-6.8249 0.0000 14.8938
Ho I O
4 12 36
Direct
0.1464 0.2131 0.1041
0.1464 0.2869 0.6041
0.8536 0.7131 0.3959
0.8536 0.7869 0.8959
0.0767 0.1879 0.3566
0.0767 0.3121 0.8566
0.3564 0.6514 0.5209
0.3564 0.8486 0.0209
0.4182 0.5997 0.8004
0.4182 0.9003 0.3004
0.5818 0.0997 0.6996
0.5818 0.4003 0.1996
0.6436 0.1514 0.9791
0.6436 0.3486 0.4791
0.9233 0.6879 0.1434
0.9233 0.8121 0.6434
0.0568 0.0569 0.6872
0.0568 0.4431 0.1872
0.0934 0.6064 0.6696
0.0934 0.8936 0.1696
0.1205 0.1282 0.4719
0.1205 0.3718 0.9719
0.1269 0.6275 0.4868
0.1269 0.8725 0.9868
0.3428 0.1762 0.2563
0.3428 0.3238 0.7563
0.3427 0.5879 0.8886
0.3427 0.9121 0.3886
0.3537 0.0668 0.9411
0.3537 0.4332 0.4411
0.3624 0.0124 0.6367
0.3624 0.4876 0.1367
0.3918 0.0258 0.1177
0.3918 0.4742 0.6177
0.6082 0.5258 0.3823
0.6082 0.9742 0.8823
0.6376 0.5124 0.8633
0.6376 0.9876 0.3633
0.6463 0.5668 0.5589
0.6463 0.9332 0.0589
0.6573 0.0879 0.6114
0.6573 0.4121 0.1114
0.6572 0.6762 0.2437
0.6572 0.8238 0.7437
0.8731 0.1275 0.0132
0.8731 0.3725 0.5132
0.8795 0.6282 0.0281
0.8795 0.8718 0.5281
0.9066 0.1064 0.8304
0.9066 0.3936 0.3304
0.9432 0.5569 0.8128
0.9432 0.9431 0.3128
```

As for the symmetry: P2_1/c, No. 14.

***

What should be chosen as the most stable of them? Choose arrangement x.

***

Arrangement w

Below is a relaxed Ho3Mg crystal, with properties calculated at the r2SCAN level.

Geometry as POSCAR:
```
Ho3Mg
1.0
6.9729 0.0000 0.0000
-3.4864 6.0387 0.0000
0.0000 0.0000 5.5173
Ho Mg
6 2
Direct
0.1702 0.3405 0.2500
0.1702 0.8298 0.2500
0.3405 0.1702 0.7500
0.6595 0.8298 0.2500
0.8298 0.1702 0.7500
0.8298 0.6595 0.7500
0.3333 0.6667 0.7500
0.6667 0.3333 0.2500
```

As for the symmetry: P6_3/mmc, No. 194.

***

Arrangement x

Below is a relaxed Ho3Mg crystal, with properties calculated at the r2SCAN level.

Geometry as POSCAR:
```
Ho3Mg
1.0
3.5562 0.0000 0.0000
0.0000 3.5562 0.0000
0.0000 0.0000 9.2490
Ho Mg
3 1
Direct
0.0000 0.0000 0.0000
0.5000 0.5000 0.2648
0.5000 0.5000 0.7352
0.0000 0.0000 0.5000
```

As for the symmetry: P4/mmm, No. 123.

***

What should be chosen as the most stable of them? Choose arrangement x.

***

Arrangement w

Below is a relaxed Ho3Ni2 crystal, with properties calculated at the r2SCAN level.

Geometry as POSCAR:
```
Ho3Ni2
1.0
6.5763 -1.8041 0.0000
6.5763 1.8041 0.0000
-2.4541 0.0000 9.1768
Ho Ni
6 4
Direct
0.0972 0.0972 0.1738
0.3555 0.3555 0.1371
0.3687 0.3687 0.5022
0.6313 0.6313 0.4978
0.6445 0.6445 0.8629
0.9028 0.9028 0.8262
0.0342 0.0342 0.6438
0.2436 0.2436 0.7238
0.7564 0.7564 0.2762
0.9658 0.9658 0.3562
```

As for the symmetry: C2/m, No. 12.

***

Arrangement x

Below is a relaxed Ho3Ni2 crystal, with properties calculated at the r2SCAN level.

Geometry as POSCAR:
```
Ho3Ni2
1.0
4.2382 2.4469 5.1993
-4.2382 2.4469 5.1993
0.0000 -4.8938 5.1993
Ho Ni
9 6
Direct
0.0000 0.0000 0.0000
0.1713 0.3863 0.6642
0.2070 0.2070 0.2070
0.3358 0.8287 0.6137
0.3863 0.6642 0.1713
0.6137 0.3358 0.8287
0.6642 0.1713 0.3863
0.7930 0.7930 0.7930
0.8287 0.6137 0.3358
0.0395 0.8571 0.4146
0.1429 0.5854 0.9605
0.4146 0.0395 0.8571
0.5854 0.9605 0.1429
0.8571 0.4146 0.0395
0.9605 0.1429 0.5854
```

As for the symmetry: R-3, No. 148.

***

What should be chosen as the most stable of them? Choose arrangement w.

***

Arrangement w

Below is a relaxed Ho2P4O13 crystal, with properties calculated at the r2SCAN level.

Geometry as POSCAR:
```
Ho2P4O13
1.0
5.8840 -3.3535 0.0000
5.8840 3.3535 0.0000
-3.7455 0.0000 12.2605
Ho P O
4 8 26
Direct
0.1887 0.1935 0.0484
0.1935 0.1887 0.5484
0.8065 0.8113 0.4516
0.8113 0.8065 0.9516
0.2520 0.2720 0.3379
0.2720 0.2520 0.8379
0.3337 0.6447 0.1336
0.3553 0.6663 0.3664
0.6447 0.3337 0.6336
0.6663 0.3553 0.8664
0.7280 0.7480 0.1621
0.7480 0.7280 0.6621
0.0520 0.4204 0.4030
0.0748 0.4218 0.9026
0.1670 0.8208 0.0581
0.1792 0.8330 0.4419
0.1880 0.1994 0.2200
0.1994 0.1880 0.7200
0.2487 0.7513 0.2500
0.3730 0.4034 0.1010
0.3807 0.4171 0.3447
0.4034 0.3730 0.6010
0.4171 0.3807 0.8447
0.4204 0.0520 0.9030
0.4218 0.0748 0.4026
0.5782 0.9252 0.5974
0.5796 0.9480 0.0970
0.5829 0.6193 0.1553
0.5966 0.6270 0.3990
0.6193 0.5829 0.6553
0.6270 0.5966 0.8990
0.7513 0.2487 0.7500
0.8006 0.8120 0.2800
0.8120 0.8006 0.7800
0.8208 0.1670 0.5581
0.8330 0.1792 0.9419
0.9252 0.5782 0.0974
0.9480 0.5796 0.5970
```

As for the symmetry: C2/c, No. 15.

***

Arrangement x

Below is a relaxed Ho2P4O13 crystal, with properties calculated at the r2SCAN level.

Geometry as POSCAR:
```
Ho2P4O13
1.0
3.4930 -8.6221 0.0000
3.4930 8.6221 0.0000
0.0000 0.0000 8.5494
Ho P O
4 8 26
Direct
0.1034 0.3964 0.1473
0.3964 0.1034 0.8527
0.6036 0.8966 0.3527
0.8966 0.6036 0.6473
0.0807 0.3996 0.5011
0.2210 0.3492 0.7750
0.3492 0.2210 0.2250
0.3996 0.0807 0.4989
0.6004 0.9193 0.9989
0.6508 0.7790 0.7250
0.7790 0.6508 0.2750
0.9193 0.6004 0.0011
0.0154 0.4720 0.6068
0.0797 0.7647 0.8826
0.0930 0.3267 0.8978
0.1185 0.2864 0.6075
0.2353 0.9203 0.6174
0.2435 0.2844 0.1998
0.2741 0.5694 0.4037
0.2844 0.2435 0.8002
0.2864 0.1185 0.3925
0.3267 0.0930 0.1022
0.4118 0.5882 0.7500
0.4306 0.7259 0.0963
0.4720 0.0154 0.3932
0.5280 0.9846 0.8932
0.5694 0.2741 0.5963
0.5882 0.4118 0.2500
0.6733 0.9070 0.6022
0.7136 0.8815 0.8925
0.7156 0.7565 0.3002
0.7259 0.4306 0.9037
0.7565 0.7156 0.6998
0.7647 0.0797 0.1174
0.8815 0.7136 0.1075
0.9070 0.6733 0.3978
0.9203 0.2353 0.3826
0.9846 0.5280 0.1068
```

As for the symmetry: C222_1, No. 20.

***

What should be chosen as the most stable of them? Choose arrangement x.